1.
Y8Cu3Si3Se21 | PBE | relaxed

a b c (Å): 10.272 18.244 10.288
angles (deg): 90.00 119.76 90.00
Sites, in units of the cell vectors:
Y: 0.133 0.000 0.270
Y: 0.135 0.335 0.278
Y: 0.136 0.663 0.277
Y: 0.227 0.999 0.865
Y: 0.228 0.335 0.853
Y: 0.229 0.664 0.859
Y: 0.357 0.169 0.631
Y: 0.361 0.834 0.635
Y: 0.639 0.334 0.365
Y: 0.643 0.669 0.369
Y: 0.771 0.164 0.141
Y: 0.772 0.835 0.147
Y: 0.773 0.499 0.135
Y: 0.864 0.163 0.723
Y: 0.865 0.835 0.722
Y: 0.867 0.500 0.730
Cu: 0.001 0.348 0.500
Cu: 0.002 0.185 0.500
Cu: 0.005 0.516 0.502
Cu: 0.995 0.016 0.498
Cu: 0.998 0.685 0.500
Cu: 0.999 0.848 0.500
Si: 0.328 0.807 0.163
Si: 0.336 0.138 0.170
Si: 0.337 0.470 0.168
Si: 0.663 0.970 0.832
Si: 0.664 0.638 0.830
Si: 0.672 0.307 0.837
Se: 0.094 0.507 0.334
Se: 0.097 0.175 0.333
Se: 0.098 0.750 0.019
Se: 0.098 0.844 0.336
Se: 0.099 0.087 0.019
Se: 0.101 0.420 0.020
Se: 0.161 0.509 0.760
Se: 0.162 0.176 0.762
Se: 0.164 0.843 0.762
Se: 0.260 0.010 0.597
Se: 0.260 0.681 0.598
Se: 0.261 0.337 0.595
Se: 0.331 0.930 0.166
Se: 0.333 0.263 0.166
Se: 0.335 0.595 0.166
Se: 0.418 0.086 0.401
Se: 0.418 0.754 0.398
Se: 0.421 0.422 0.402
Se: 0.478 0.089 0.074
Se: 0.480 0.753 0.081
Se: 0.481 0.420 0.076
Se: 0.519 0.920 0.924
Se: 0.520 0.253 0.919
Se: 0.522 0.589 0.926
Se: 0.579 0.922 0.598
Se: 0.582 0.254 0.602
Se: 0.582 0.586 0.599
Se: 0.665 0.095 0.834
Se: 0.667 0.763 0.834
Se: 0.669 0.430 0.834
Se: 0.739 0.837 0.405
Se: 0.740 0.181 0.402
Se: 0.740 0.510 0.403
Se: 0.836 0.343 0.238
Se: 0.838 0.676 0.238
Se: 0.839 0.009 0.240
Se: 0.899 0.920 0.980
Se: 0.901 0.587 0.981
Se: 0.902 0.250 0.981
Se: 0.902 0.344 0.664
Se: 0.903 0.675 0.667
Se: 0.906 0.007 0.666

## Properties
Corrected total energy (MP2020 scheme) in eV/cell: -408.62
Volume in Å³/cell: 1673.79
Energy of formation in kcal/mol of atoms: -33.33
Energy in eV per atom: -5.554
Crystal system: monoclinic

***

2.
Sm3CuSe6 | PBE | relaxed

a b c (Å): 7.909 7.211 17.286
angles (deg): 90.00 90.00 90.00
Sites, in units of the cell vectors:
Sm: 0.056 0.228 0.000
Sm: 0.056 0.267 0.665
Sm: 0.060 0.240 0.322
Sm: 0.440 0.240 0.822
Sm: 0.444 0.228 0.500
Sm: 0.444 0.267 0.165
Sm: 0.556 0.733 0.665
Sm: 0.556 0.772 0.000
Sm: 0.560 0.760 0.322
Sm: 0.940 0.760 0.822
Sm: 0.944 0.733 0.165
Sm: 0.944 0.772 0.500
Cu: 0.207 0.603 0.938
Cu: 0.293 0.603 0.438
Cu: 0.707 0.397 0.938
Cu: 0.793 0.397 0.438
Se: 0.091 0.388 0.495
Se: 0.096 0.387 0.832
Se: 0.099 0.378 0.161
Se: 0.246 0.925 0.734
Se: 0.248 0.924 0.592
Se: 0.249 0.930 0.913
Se: 0.251 0.930 0.413
Se: 0.252 0.924 0.092
Se: 0.254 0.925 0.234
Se: 0.401 0.378 0.661
Se: 0.404 0.387 0.332
Se: 0.409 0.388 0.995
Se: 0.591 0.612 0.495
Se: 0.596 0.613 0.832
Se: 0.599 0.622 0.161
Se: 0.746 0.075 0.734
Se: 0.748 0.076 0.592
Se: 0.749 0.070 0.913
Se: 0.751 0.070 0.413
Se: 0.752 0.076 0.092
Se: 0.754 0.075 0.234
Se: 0.901 0.622 0.661
Se: 0.904 0.613 0.332
Se: 0.909 0.612 0.995

## Properties
Corrected total energy (MP2020 scheme) in eV/cell: -225.90
Volume in Å³/cell: 985.91
Energy of formation in kcal/mol of atoms: -39.77
Energy in eV per atom: -5.364
Crystal system: orthorhombic
Energy above the most stable polymorph in this dataset in eV per atom: 0.000

***

3.
Sm5CuSe8 | PBE | relaxed

a b c (Å): 7.630 7.630 7.630
angles (deg): 110.27 110.27 107.89
Sites, in units of the cell vectors:
Sm: 0.000 0.000 0.000
Sm: 0.251 0.133 0.622
Sm: 0.371 0.749 0.882
Sm: 0.511 0.629 0.378
Sm: 0.867 0.489 0.118
Cu: 0.750 0.250 0.500
Se: 0.102 0.361 0.871
Se: 0.142 0.384 0.393
Se: 0.251 0.858 0.241
Se: 0.490 0.231 0.129
Se: 0.616 0.009 0.759
Se: 0.639 0.510 0.740
Se: 0.769 0.898 0.260
Se: 0.991 0.749 0.607

## Properties
Corrected total energy (MP2020 scheme) in eV/cell: -82.19
Volume in Å³/cell: 341.76
Energy of formation in kcal/mol of atoms: -43.71
Energy in eV per atom: -5.601
Piezoelectric modulus e_max in C/m2: 0.369
Crystal system: tetragonal

***

4.
Sm31Cu3Se48 | PBE | relaxed

a b c (Å): 7.650 7.654 37.346
angles (deg): 90.10 90.11 108.73
Sites, in units of the cell vectors:
Sm: 0.000 0.000 0.000
Sm: 0.000 0.984 0.663
Sm: 0.001 0.990 0.332
Sm: 0.010 0.494 0.291
Sm: 0.053 0.173 0.772
Sm: 0.056 0.666 0.522
Sm: 0.059 0.176 0.103
Sm: 0.067 0.189 0.434
Sm: 0.359 0.098 0.248
Sm: 0.367 0.612 0.705
Sm: 0.368 0.102 0.917
Sm: 0.374 0.115 0.582
Sm: 0.383 0.616 0.040
Sm: 0.486 0.979 0.792
Sm: 0.488 0.982 0.123
Sm: 0.491 0.480 0.498
Sm: 0.498 0.981 0.455
Sm: 0.500 0.499 0.834
Sm: 0.502 0.501 0.167
Sm: 0.557 0.673 0.604
Sm: 0.557 0.674 0.270
Sm: 0.559 0.174 0.354
Sm: 0.559 0.675 0.937
Sm: 0.575 0.184 0.684
Sm: 0.868 0.603 0.084
Sm: 0.869 0.616 0.413
Sm: 0.870 0.610 0.750
Sm: 0.875 0.123 0.543
Sm: 0.880 0.120 0.207
Sm: 0.883 0.117 0.874
Sm: 0.989 0.483 0.956
Cu: 0.059 0.672 0.189
Cu: 0.062 0.674 0.856
Cu: 0.559 0.176 0.023
Se: 0.005 0.363 0.037
Se: 0.188 0.911 0.063
Se: 0.198 0.452 0.225
Se: 0.199 0.448 0.893
Se: 0.201 0.923 0.729
Se: 0.205 0.931 0.395
Se: 0.217 0.424 0.561
Se: 0.220 0.600 0.791
Se: 0.227 0.604 0.456
Se: 0.229 0.597 0.123
Se: 0.235 0.095 0.501
Se: 0.247 0.123 0.168
Se: 0.248 0.122 0.836
Se: 0.296 0.806 0.977
Se: 0.308 0.315 0.309
Se: 0.311 0.832 0.311
Se: 0.312 0.833 0.645
Se: 0.316 0.320 0.646
Se: 0.328 0.316 0.979
Se: 0.482 0.354 0.752
Se: 0.485 0.339 0.080
Se: 0.487 0.348 0.420
Se: 0.489 0.852 0.537
Se: 0.506 0.861 0.204
Se: 0.506 0.862 0.871
Se: 0.685 0.411 0.230
Se: 0.688 0.411 0.896
Se: 0.699 0.923 0.729
Se: 0.699 0.947 0.060
Se: 0.701 0.426 0.560
Se: 0.717 0.927 0.394
Se: 0.728 0.098 0.957
Se: 0.734 0.603 0.671
Se: 0.736 0.098 0.619
Se: 0.741 0.102 0.287
Se: 0.746 0.606 0.334
Se: 0.748 0.623 0.002
Se: 0.793 0.305 0.811
Se: 0.796 0.306 0.143
Se: 0.808 0.814 0.478
Se: 0.810 0.316 0.478
Se: 0.829 0.817 0.146
Se: 0.829 0.817 0.813
Se: 0.980 0.838 0.247
Se: 0.982 0.352 0.368
Se: 0.985 0.839 0.914
Se: 0.988 0.346 0.706
Se: 0.990 0.862 0.585

## Properties
Corrected total energy (MP2020 scheme) in eV/cell: -492.22
Volume in Å³/cell: 2070.79
Energy of formation in kcal/mol of atoms: -46.64
Energy in eV per atom: -5.726
Crystal system: triclinic

***

5.
Sm3CuSe6 | PBE | relaxed

a b c (Å): 7.234 17.035 7.955
angles (deg): 90.00 90.59 90.00
Sites, in units of the cell vectors:
Sm: 0.228 0.090 0.442
Sm: 0.228 0.410 0.442
Sm: 0.244 0.587 0.059
Sm: 0.244 0.913 0.059
Sm: 0.261 0.250 0.057
Sm: 0.264 0.750 0.445
Sm: 0.736 0.250 0.555
Sm: 0.739 0.750 0.943
Sm: 0.756 0.087 0.941
Sm: 0.756 0.413 0.941
Sm: 0.772 0.590 0.558
Sm: 0.772 0.910 0.558
Cu: 0.397 0.529 0.704
Cu: 0.397 0.971 0.704
Cu: 0.603 0.029 0.296
Cu: 0.603 0.471 0.296
Se: 0.069 0.174 0.750
Se: 0.069 0.326 0.750
Se: 0.073 0.000 0.753
Se: 0.073 0.500 0.753
Se: 0.079 0.675 0.755
Se: 0.079 0.825 0.755
Se: 0.374 0.250 0.404
Se: 0.384 0.081 0.097
Se: 0.384 0.419 0.097
Se: 0.385 0.750 0.103
Se: 0.391 0.581 0.410
Se: 0.391 0.919 0.410
Se: 0.609 0.081 0.590
Se: 0.609 0.419 0.590
Se: 0.615 0.250 0.897
Se: 0.616 0.581 0.903
Se: 0.616 0.919 0.903
Se: 0.626 0.750 0.596
Se: 0.921 0.175 0.245
Se: 0.921 0.325 0.245
Se: 0.927 0.000 0.247
Se: 0.927 0.500 0.247
Se: 0.931 0.674 0.250
Se: 0.931 0.826 0.250

## Properties
Corrected total energy (MP2020 scheme) in eV/cell: -225.69
Volume in Å³/cell: 980.19
Energy of formation in kcal/mol of atoms: -39.65
Energy in eV per atom: -5.359
Crystal system: monoclinic
Energy above the most stable polymorph in this dataset in eV per atom: 0.005

***

6.
Cu2SnSe4 | PBE | relaxed

a b c (Å): 6.666 6.666 6.666
angles (deg): 130.07 130.07 73.29
Sites, in units of the cell vectors:
Cu: 0.250 0.750 0.500
Cu: 0.750 0.250 0.500
Sn: 0.000 0.000 0.000
Se: 0.151 0.593 0.000
Se: 0.407 0.407 0.558
Se: 0.593 0.151 0.000
Se: 0.849 0.849 0.442

## Properties
Corrected total energy (MP2020 scheme) in eV/cell: -29.35
Volume in Å³/cell: 169.31
Energy of formation in kcal/mol of atoms: -10.40
Energy in eV per atom: -3.923
Crystal system: tetragonal